DFT (PBE with a Hubbard U) results for an optimized crystal structure of LiVF5.

Geometry as CIF:
```
data_LiVF5
_chemical_formula_sum 'Li8 V8 F40'
_cell_length_a 17.847
_cell_length_b 5.490
_cell_length_c 9.576
_cell_angle_alpha 54.95
_cell_angle_beta 90.00
_cell_angle_gamma 90.00
_space_group_name_H-M_alt 'P 1'
_space_group_IT_number 1
_space_group_name_Hall 'P 1'
loop_
_atom_site_label
_atom_site_fract_x
_atom_site_fract_y
_atom_site_fract_z
Li1 0.119 0.518 0.728
Li2 0.881 0.482 0.272
Li3 0.695 0.117 0.638
Li4 0.805 0.117 0.138
Li5 0.195 0.883 0.862
Li6 0.381 0.518 0.228
Li7 0.619 0.482 0.772
Li8 0.305 0.883 0.362
F1 0.596 0.911 0.157
F2 0.788 0.027 0.774
F3 0.405 0.677 0.752
F4 0.404 0.089 0.843
F5 0.715 0.680 0.128
F6 0.850 0.498 0.981
F7 0.212 0.973 0.226
F8 0.527 0.749 0.982
F9 0.473 0.251 0.018
F10 0.285 0.320 0.872
F11 0.857 0.100 0.335
F12 0.973 0.749 0.482
F13 0.346 0.456 0.071
F14 0.478 0.187 0.584
F15 0.215 0.320 0.372
F16 0.654 0.544 0.929
F17 0.154 0.456 0.571
F18 0.905 0.323 0.748
F19 0.143 0.900 0.665
F20 0.785 0.680 0.628
F21 0.643 0.100 0.835
F22 0.357 0.900 0.165
F23 0.150 0.502 0.019
F24 0.350 0.502 0.519
F25 0.022 0.187 0.084
F26 0.863 0.873 0.068
F27 0.978 0.813 0.916
F28 0.288 0.973 0.726
F29 0.637 0.873 0.568
F30 0.846 0.544 0.429
F31 0.712 0.027 0.274
F32 0.904 0.911 0.657
F33 0.137 0.127 0.932
F34 0.027 0.251 0.518
F35 0.095 0.677 0.252
F36 0.363 0.127 0.432
F37 0.096 0.089 0.343
F38 0.650 0.498 0.481
F39 0.595 0.323 0.248
F40 0.522 0.813 0.416
V1 0.123 0.286 0.458
V2 0.118 0.107 0.136
V3 0.382 0.107 0.636
V4 0.618 0.893 0.364
V5 0.623 0.714 0.042
V6 0.882 0.893 0.864
V7 0.377 0.286 0.958
V8 0.877 0.714 0.542
```

Properties
* ΔE_f: -3.0686 eV per atom
* ρ: 2.64 g cm⁻³
* crystal system: monoclinic
* energy above the lowest structure with this stoichiometry: 27 meV/atom


DFT (PBE with a Hubbard U) results for an optimized crystal structure of LiV5F11.

Geometry as CIF:
```
data_LiV5F11
_chemical_formula_sum 'Li4 V20 F44'
_cell_length_a 14.444
_cell_length_b 8.228
_cell_length_c 10.849
_cell_angle_alpha 50.93
_cell_angle_beta 90.00
_cell_angle_gamma 90.00
_space_group_name_H-M_alt 'P 1'
_space_group_IT_number 1
_space_group_name_Hall 'P 1'
loop_
_atom_site_label
_atom_site_fract_x
_atom_site_fract_y
_atom_site_fract_z
F1 0.441 0.218 0.290
F2 0.753 0.229 0.133
F3 0.601 0.984 0.841
F4 0.091 0.300 0.274
F5 0.259 0.257 0.132
F6 0.759 0.743 0.368
F7 0.090 0.744 0.034
F8 0.899 0.984 0.341
F9 0.917 0.289 0.427
F10 0.253 0.511 0.743
F11 0.410 0.744 0.534
F12 0.247 0.019 0.000
F13 0.941 0.782 0.210
F14 0.583 0.289 0.927
F15 0.247 0.771 0.867
F16 0.417 0.512 0.897
F17 0.083 0.512 0.397
F18 0.401 0.519 0.398
F19 0.753 0.489 0.757
F20 0.417 0.711 0.073
F21 0.741 0.743 0.868
F22 0.409 0.300 0.774
F23 0.901 0.481 0.102
F24 0.753 0.981 0.000
F25 0.559 0.782 0.710
F26 0.253 0.019 0.500
F27 0.747 0.981 0.500
F28 0.583 0.488 0.103
F29 0.059 0.218 0.790
F30 0.241 0.257 0.632
F31 0.747 0.229 0.633
F32 0.590 0.256 0.466
F33 0.253 0.771 0.367
F34 0.599 0.481 0.602
F35 0.083 0.711 0.573
F36 0.917 0.488 0.603
F37 0.591 0.700 0.226
F38 0.399 0.016 0.159
F39 0.101 0.016 0.659
F40 0.909 0.700 0.726
F41 0.910 0.256 0.966
F42 0.247 0.511 0.243
F43 0.099 0.519 0.898
F44 0.747 0.489 0.257
V1 0.825 0.238 0.304
V2 0.004 0.464 0.772
V3 0.163 0.016 0.840
V4 0.504 0.536 0.728
V5 0.837 0.984 0.160
V6 0.663 0.984 0.660
V7 0.175 0.506 0.074
V8 0.672 0.728 0.048
V9 0.675 0.238 0.804
V10 0.496 0.464 0.272
V11 0.172 0.272 0.452
V12 0.325 0.762 0.196
V13 0.996 0.536 0.228
V14 0.175 0.762 0.696
V15 0.828 0.728 0.548
V16 0.325 0.506 0.574
V17 0.825 0.494 0.926
V18 0.328 0.272 0.952
V19 0.337 0.016 0.340
V20 0.675 0.494 0.426
Li1 0.564 0.258 0.111
Li2 0.436 0.742 0.889
Li3 0.064 0.742 0.389
Li4 0.936 0.258 0.611
```

Properties
* ΔE_f: -2.9409 eV per atom
* ρ: 3.12 g cm⁻³
* crystal system: monoclinic


DFT (PBE with a Hubbard U) results for an optimized crystal structure of Li2VF4.

Geometry as CIF:
```
data_Li2VF4
_chemical_formula_sum 'Li2 V1 F4'
_cell_length_a 5.268
_cell_length_b 5.268
_cell_length_c 3.136
_cell_angle_alpha 90.00
_cell_angle_beta 90.00
_cell_angle_gamma 111.72
_space_group_name_H-M_alt 'P 1'
_space_group_IT_number 1
_space_group_name_Hall 'P 1'
loop_
_atom_site_label
_atom_site_fract_x
_atom_site_fract_y
_atom_site_fract_z
F1 0.760 0.240 0.000
F2 0.234 0.234 0.500
F3 0.766 0.766 0.500
F4 0.240 0.760 0.000
Li1 0.500 0.000 0.500
Li2 0.000 0.500 0.500
V1 0.000 0.000 0.000
```

Properties
* ΔE_f: -3.0011 eV per atom
* ρ: 2.89 g cm⁻³
* crystal system: orthorhombic
* energy above the lowest structure with this stoichiometry: 75 meV/atom


DFT (PBE with a Hubbard U) results for an optimized crystal structure of Li3VF5.

Geometry as CIF:
```
data_Li3VF5
_chemical_formula_sum 'Li12 V4 F20'
_cell_length_a 5.095
_cell_length_b 8.058
_cell_length_c 10.433
_cell_angle_alpha 90.00
_cell_angle_beta 90.00
_cell_angle_gamma 90.00
_space_group_name_H-M_alt 'P 1'
_space_group_IT_number 1
_space_group_name_Hall 'P 1'
loop_
_atom_site_label
_atom_site_fract_x
_atom_site_fract_y
_atom_site_fract_z
F1 0.065 0.370 0.250
F2 0.484 0.530 0.378
F3 0.516 0.470 0.622
F4 0.963 0.704 0.400
F5 0.463 0.796 0.600
F6 0.016 0.030 0.378
F7 0.984 0.970 0.622
F8 0.935 0.630 0.750
F9 0.484 0.530 0.122
F10 0.037 0.296 0.600
F11 0.516 0.470 0.878
F12 0.435 0.870 0.250
F13 0.537 0.204 0.100
F14 0.565 0.130 0.750
F15 0.984 0.970 0.878
F16 0.463 0.796 0.900
F17 0.537 0.204 0.400
F18 0.963 0.704 0.100
F19 0.016 0.030 0.122
F20 0.037 0.296 0.900
V1 0.717 0.875 0.750
V2 0.217 0.625 0.250
V3 0.283 0.125 0.250
V4 0.783 0.375 0.750
Li1 0.172 0.863 0.493
Li2 0.184 0.109 0.750
Li3 0.316 0.609 0.750
Li4 0.828 0.137 0.993
Li5 0.816 0.891 0.250
Li6 0.328 0.363 0.007
Li7 0.172 0.863 0.007
Li8 0.672 0.637 0.507
Li9 0.828 0.137 0.507
Li10 0.672 0.637 0.993
Li11 0.684 0.391 0.250
Li12 0.328 0.363 0.493
```

Properties
* ΔE_f: -3.0343 eV per atom
* ρ: 2.59 g cm⁻³
* crystal system: orthorhombic
* energy above the lowest structure with this stoichiometry: 22 meV/atom


DFT (PBE with a Hubbard U) results for an optimized crystal structure of Li2VF4.

Geometry as CIF:
```
data_Li2VF4
_chemical_formula_sum 'Li8 V4 F16'
_cell_length_a 6.297
_cell_length_b 5.235
_cell_length_c 11.107
_cell_angle_alpha 62.23
_cell_angle_beta 90.00
_cell_angle_gamma 90.00
_space_group_name_H-M_alt 'P 1'
_space_group_IT_number 1
_space_group_name_Hall 'P 1'
loop_
_atom_site_label
_atom_site_fract_x
_atom_site_fract_y
_atom_site_fract_z
F1 0.082 0.522 0.871
F2 0.820 0.040 0.853
F3 0.582 0.478 0.629
F4 0.655 0.939 0.116
F5 0.180 0.960 0.147
F6 0.320 0.960 0.647
F7 0.930 0.535 0.373
F8 0.345 0.061 0.884
F9 0.430 0.465 0.127
F10 0.570 0.535 0.873
F11 0.418 0.522 0.371
F12 0.070 0.465 0.627
F13 0.155 0.061 0.384
F14 0.680 0.040 0.353
F15 0.918 0.478 0.129
F16 0.845 0.939 0.616
Li1 0.093 0.891 0.861
Li2 0.912 0.806 0.459
Li3 0.407 0.891 0.361
Li4 0.088 0.194 0.541
Li5 0.593 0.109 0.639
Li6 0.412 0.194 0.041
Li7 0.907 0.109 0.139
Li8 0.588 0.806 0.959
V1 0.326 0.509 0.745
V2 0.174 0.509 0.245
V3 0.826 0.491 0.755
V4 0.674 0.491 0.255
```

Properties
* ΔE_f: -3.0328 eV per atom
* ρ: 2.89 g cm⁻³
* crystal system: monoclinic
* energy above the lowest structure with this stoichiometry: 43 meV/atom


DFT (PBE with a Hubbard U) results for an optimized crystal structure of LiVF5.

Geometry as CIF:
```
data_LiVF5
_chemical_formula_sum 'Li4 V4 F20'
_cell_length_a 5.219
_cell_length_b 7.484
_cell_length_c 10.459
_cell_angle_alpha 90.00
_cell_angle_beta 90.00
_cell_angle_gamma 90.00
_space_group_name_H-M_alt 'P 1'
_space_group_IT_number 1
_space_group_name_Hall 'P 1'
loop_
_atom_site_label
_atom_site_fract_x
_atom_site_fract_y
_atom_site_fract_z
F1 0.876 0.637 0.252
F2 0.061 0.058 0.620
F3 0.624 0.137 0.252
F4 0.511 0.814 0.121
F5 0.561 0.442 0.120
F6 0.011 0.686 0.621
F7 0.511 0.162 0.881
F8 0.989 0.662 0.881
F9 0.011 0.338 0.381
F10 0.968 0.938 0.375
F11 0.532 0.438 0.375
F12 0.989 0.314 0.121
F13 0.032 0.062 0.875
F14 0.439 0.558 0.620
F15 0.124 0.363 0.752
F16 0.939 0.942 0.120
F17 0.489 0.186 0.621
F18 0.489 0.838 0.381
F19 0.376 0.863 0.752
F20 0.468 0.562 0.875
Li1 0.182 0.860 0.504
Li2 0.818 0.140 0.004
Li3 0.682 0.640 0.004
Li4 0.318 0.360 0.504
V1 0.226 0.618 0.754
V2 0.274 0.118 0.754
V3 0.726 0.882 0.254
V4 0.774 0.382 0.254
```

Properties
* ΔE_f: -3.0461 eV per atom
* ρ: 2.49 g cm⁻³
* crystal system: orthorhombic
* energy above the lowest structure with this stoichiometry: 49 meV/atom


DFT (PBE with a Hubbard U) results for an optimized crystal structure of LiVF6.

Geometry as CIF:
```
data_LiVF6
_chemical_formula_sum 'Li2 V2 F12'
_cell_length_a 8.637
_cell_length_b 5.044
_cell_length_c 5.167
_cell_angle_alpha 69.64
_cell_angle_beta 90.00
_cell_angle_gamma 90.00
_space_group_name_H-M_alt 'P 1'
_space_group_IT_number 1
_space_group_name_Hall 'P 1'
loop_
_atom_site_label
_atom_site_fract_x
_atom_site_fract_y
_atom_site_fract_z
F1 0.655 0.325 0.699
F2 0.357 0.154 0.285
F3 0.150 0.804 0.736
F4 0.356 0.280 0.732
F5 0.856 0.720 0.268
F6 0.155 0.675 0.301
F7 0.650 0.196 0.264
F8 0.511 0.880 0.717
F9 0.979 0.383 0.712
F10 0.857 0.846 0.715
F11 0.011 0.120 0.283
F12 0.479 0.617 0.288
V1 0.003 0.756 0.508
V2 0.503 0.244 0.492
Li1 0.322 0.895 0.043
Li2 0.822 0.105 0.957
```

Properties
* ΔE_f: -2.9243 eV per atom
* ρ: 2.70 g cm⁻³
* crystal system: monoclinic


DFT (PBE with a Hubbard U) results for an optimized crystal structure of Li3VF5.

Geometry as CIF:
```
data_Li3VF5
_chemical_formula_sum 'Li12 V4 F20'
_cell_length_a 6.807
_cell_length_b 7.567
_cell_length_c 8.351
_cell_angle_alpha 90.00
_cell_angle_beta 90.00
_cell_angle_gamma 90.00
_space_group_name_H-M_alt 'P 1'
_space_group_IT_number 1
_space_group_name_Hall 'P 1'
loop_
_atom_site_label
_atom_site_fract_x
_atom_site_fract_y
_atom_site_fract_z
Li1 0.645 0.750 0.877
Li2 0.263 0.054 0.376
Li3 0.763 0.946 0.124
Li4 0.237 0.446 0.876
Li5 0.355 0.250 0.123
Li6 0.737 0.554 0.624
Li7 0.145 0.250 0.623
Li8 0.737 0.946 0.624
Li9 0.763 0.554 0.124
Li10 0.263 0.446 0.376
Li11 0.855 0.750 0.377
Li12 0.237 0.054 0.876
V1 0.749 0.250 0.875
V2 0.249 0.750 0.625
V3 0.251 0.750 0.125
V4 0.751 0.250 0.375
F1 0.762 0.973 0.876
F2 0.738 0.973 0.376
F3 0.721 0.250 0.625
F4 0.762 0.527 0.876
F5 0.238 0.027 0.124
F6 0.262 0.027 0.624
F7 0.238 0.473 0.124
F8 0.943 0.750 0.163
F9 0.057 0.250 0.837
F10 0.443 0.250 0.337
F11 0.779 0.250 0.125
F12 0.061 0.250 0.409
F13 0.439 0.250 0.909
F14 0.557 0.750 0.663
F15 0.262 0.473 0.624
F16 0.561 0.750 0.091
F17 0.939 0.750 0.591
F18 0.221 0.750 0.875
F19 0.738 0.527 0.376
F20 0.279 0.750 0.375
```

Properties
* ΔE_f: -3.0406 eV per atom
* ρ: 2.58 g cm⁻³
* crystal system: orthorhombic
* energy above the lowest structure with this stoichiometry: 16 meV/atom